Entry 1:
This record from Materials Project describes an optimized crystal structure of Mn6OF11. The functional is PBE+U.

Cell and atoms, written as CIF:
```
data_Mn6OF11
_symmetry_space_group_name_H-M 'P -1'
_symmetry_Int_Tables_number 2
_symmetry_space_group_name_Hall '-P 1'
_cell_length_a 4.983
_cell_length_b 5.909
_cell_length_c 16.136
_cell_angle_alpha 90.95
_cell_angle_beta 90.12
_cell_angle_gamma 91.01
loop_
_atom_site_label
_atom_site_fract_x
_atom_site_fract_y
_atom_site_fract_z
_atom_site_occupancy
Mn1 0.001 0.332 0.085 1
Mn2 0.004 0.672 0.258 1
Mn3 0.019 0.685 0.576 1
Mn4 0.495 0.172 0.916 1
Mn5 0.495 0.173 0.252 1
Mn6 0.497 0.858 0.425 1
O1 0.296 0.898 0.525 1
F1 0.217 0.610 0.691 1
F2 0.224 0.391 0.529 1
F3 0.225 0.391 0.856 1
F4 0.232 0.401 0.195 1
F5 0.232 0.603 0.025 1
F6 0.246 0.630 0.369 1
F7 0.249 0.115 0.356 1
F8 0.268 0.892 0.194 1
F9 0.269 0.894 0.856 1
F10 0.271 0.104 0.027 1
F11 0.291 0.115 0.683 1
```

***

Entry 2:
# Mn8O13F3, relaxed, DFT PBE+U
data_Mn8O13F3
_symmetry_space_group_name_H-M 'P 1'
_symmetry_Int_Tables_number 1
_symmetry_space_group_name_Hall 'P 1'
_cell_length_a 4.504
_cell_length_b 5.526
_cell_length_c 9.963
_cell_angle_alpha 89.87
_cell_angle_beta 89.69
_cell_angle_gamma 87.86
loop_
_atom_site_label
_atom_site_fract_x
_atom_site_fract_y
_atom_site_fract_z
_atom_site_occupancy
Mn1 0.000 0.000 0.000 1
Mn2 0.002 0.692 0.239 1
Mn3 0.477 0.473 0.003 1
Mn4 0.480 0.487 0.499 1
Mn5 0.490 0.193 0.251 1
Mn6 0.499 0.191 0.757 1
Mn7 0.976 0.991 0.496 1
Mn8 0.993 0.690 0.742 1
O1 0.205 0.721 0.581 1
O2 0.217 0.947 0.834 1
O3 0.219 0.943 0.331 1
O4 0.223 0.721 0.081 1
O5 0.243 0.445 0.334 1
O6 0.250 0.446 0.837 1
O7 0.265 0.231 0.088 1
O8 0.703 0.219 0.415 1
O9 0.718 0.444 0.664 1
O10 0.719 0.225 0.914 1
O11 0.719 0.444 0.162 1
O12 0.743 0.944 0.663 1
O13 0.757 0.949 0.159 1
F1 0.250 0.214 0.599 1
F2 0.746 0.710 0.910 1
F3 0.751 0.714 0.397 1
# size of the total moment	27.0	μB/f.u.

***

Entry 3:
# Mn3O5F, relaxed, DFT PBE+U
data_Mn3O5F
_symmetry_space_group_name_H-M 'C 1 m 1'
_symmetry_Int_Tables_number 8
_symmetry_space_group_name_Hall 'C -2y'
_cell_length_a 8.891
_cell_length_b 6.321
_cell_length_c 7.243
_cell_angle_alpha 90.00
_cell_angle_beta 113.27
_cell_angle_gamma 90.00
loop_
_atom_site_label
_atom_site_fract_x
_atom_site_fract_y
_atom_site_fract_z
_atom_site_occupancy
Mn1 0.000 0.000 0.000 1
Mn2 0.001 0.000 0.517 1
Mn3 0.174 0.500 0.172 1
Mn4 0.177 0.500 0.678 1
Mn5 0.331 0.000 0.853 1
Mn6 0.349 0.000 0.329 1
O1 0.003 0.306 0.008 1
O2 0.074 0.500 0.381 1
O3 0.172 0.194 0.676 1
O4 0.232 0.000 0.042 1
O5 0.274 0.500 0.970 1
O6 0.338 0.304 0.344 1
O7 0.401 0.500 0.714 1
F1 0.109 0.000 0.305 1
F2 0.438 0.000 0.641 1
# size of the total moment	10.0	μB/f.u.

***

Entry 4:
# Mn3O4F2, relaxed, DFT PBE+U
data_Mn3O4F2
_symmetry_space_group_name_H-M 'P -1'
_symmetry_Int_Tables_number 2
_symmetry_space_group_name_Hall '-P 1'
_cell_length_a 5.503
_cell_length_b 5.523
_cell_length_c 6.993
_cell_angle_alpha 74.36
_cell_angle_beta 73.92
_cell_angle_gamma 75.60
loop_
_atom_site_label
_atom_site_fract_x
_atom_site_fract_y
_atom_site_fract_z
_atom_site_occupancy
Mn1 0.000 0.000 0.000 1
Mn2 0.000 0.000 0.500 1
Mn3 0.309 0.343 0.173 1
Mn4 0.310 0.359 0.667 1
O1 0.034 0.651 0.666 1
O2 0.090 0.120 0.702 1
O3 0.220 0.244 0.962 1
O4 0.430 0.432 0.375 1
F1 0.330 0.706 0.982 1
F2 0.390 0.943 0.330 1
# size of the total moment	11.0	μB/f.u.

***

Entry 5:
# Mn3O5F, relaxed, DFT PBE+U
data_Mn3O5F
_symmetry_space_group_name_H-M 'P 1 21 1'
_symmetry_Int_Tables_number 4
_symmetry_space_group_name_Hall 'P 2yb'
_cell_length_a 5.459
_cell_length_b 4.550
_cell_length_c 7.522
_cell_angle_alpha 90.00
_cell_angle_beta 93.61
_cell_angle_gamma 90.00
loop_
_atom_site_label
_atom_site_fract_x
_atom_site_fract_y
_atom_site_fract_z
_atom_site_occupancy
Mn1 0.074 0.000 0.336 1
Mn2 0.250 0.534 0.989 1
Mn3 0.410 0.033 0.664 1
O1 0.045 0.825 0.102 1
O2 0.119 0.214 0.559 1
O3 0.213 0.715 0.765 1
O4 0.377 0.829 0.435 1
O5 0.454 0.216 0.899 1
F1 0.281 0.324 0.230 1
# size of the total moment	10.0	μB/f.u.

***

Entry 6:
# MnOF2, relaxed, DFT PBE+U
data_MnOF2
_symmetry_space_group_name_H-M 'P 1 21/c 1'
_symmetry_Int_Tables_number 14
_symmetry_space_group_name_Hall '-P 2ybc'
_cell_length_a 7.915
_cell_length_b 5.116
_cell_length_c 6.771
_cell_angle_alpha 90.00
_cell_angle_beta 109.50
_cell_angle_gamma 90.00
loop_
_atom_site_label
_atom_site_fract_x
_atom_site_fract_y
_atom_site_fract_z
_atom_site_occupancy
Mn1 0.174 0.067 0.350 1
O1 0.438 0.587 0.974 1
F1 0.081 0.708 0.245 1
F2 0.240 0.212 0.107 1
# size of the total moment	4.0	μB/f.u.

***

| no. | energy of formation (eV per atom) | final energy (hartree per atom) |
| --- | --- | --- |
| 1 | -2.8501 | -0.2379 |
| 2 | -1.9485 | -0.2549 |
| 3 | -1.9425 | -0.2561 |
| 4 | -2.1408 | -0.2519 |
| 5 | -1.9376 | -0.2559 |
| 6 | -2.1518 | -0.2186 |